## one
# Li7Co5O12, relaxed, DFT GGA+U
data_Li7Co5O12
_symmetry_space_group_name_H-M 'P 1'
_symmetry_Int_Tables_number 1
_cell_length_a 4.954
_cell_length_b 8.730
_cell_length_c 9.723
_cell_angle_alpha 89.39
_cell_angle_beta 79.70
_cell_angle_gamma 89.26
loop_
_symmetry_equiv_pos_as_xyz
'x,y,z'
loop_
_atom_site_label
_atom_site_fract_x
_atom_site_fract_y
_atom_site_fract_z
_atom_site_occupancy
Li1 0.000 0.000 0.000 1
Li2 0.000 0.168 0.499 1
Li3 0.001 0.670 0.000 1
Li4 0.002 0.834 0.508 1
Li5 0.009 0.333 0.001 1
Li6 0.250 0.835 0.754 1
Li7 0.251 0.335 0.254 1
Li8 0.494 0.335 0.507 1
Li9 0.499 0.670 0.508 1
Li10 0.500 0.834 0.001 1
Li11 0.501 0.501 0.010 1
Li12 0.502 0.000 0.509 1
Li13 0.502 0.170 0.009 1
Li14 0.999 0.500 0.499 1
Co1 0.250 0.000 0.254 1
Co2 0.251 0.159 0.753 1
Co3 0.251 0.511 0.755 1
Co4 0.252 0.669 0.254 1
Co5 0.745 0.674 0.755 1
Co6 0.749 0.173 0.254 1
Co7 0.750 0.335 0.755 1
Co8 0.751 0.835 0.254 1
Co9 0.753 0.496 0.254 1
Co10 0.757 0.995 0.753 1
O1 0.096 0.002 0.637 1
O2 0.105 0.657 0.643 1
O3 0.117 0.325 0.644 1
O4 0.120 0.836 0.149 1
O5 0.122 0.147 0.142 1
O6 0.125 0.524 0.143 1
O7 0.377 0.145 0.365 1
O8 0.378 0.522 0.366 1
O9 0.382 0.834 0.359 1
O10 0.387 0.344 0.866 1
O11 0.395 0.012 0.865 1
O12 0.405 0.667 0.871 1
O13 0.612 0.993 0.144 1
O14 0.615 0.678 0.145 1
O15 0.616 0.515 0.644 1
O16 0.618 0.155 0.643 1
O17 0.643 0.832 0.644 1
O18 0.652 0.336 0.130 1
O19 0.850 0.334 0.379 1
O20 0.857 0.838 0.864 1
O21 0.886 0.154 0.864 1
O22 0.886 0.515 0.864 1
O23 0.887 0.991 0.363 1
O24 0.889 0.676 0.364 1
# - mass density (g cm⁻³) = 4.3
# - M_tot (μB per cell) = 2.4
# - space-group type = No. 1

=====

## two
# Li7Co5O12, relaxed, DFT GGA+U
data_Li7Co5O12
_symmetry_space_group_name_H-M 'P 1'
_symmetry_Int_Tables_number 1
_cell_length_a 2.906
_cell_length_b 2.906
_cell_length_c 29.765
_cell_angle_alpha 90.88
_cell_angle_beta 90.88
_cell_angle_gamma 60.79
loop_
_symmetry_equiv_pos_as_xyz
'x,y,z'
loop_
_atom_site_label
_atom_site_fract_x
_atom_site_fract_y
_atom_site_fract_z
_atom_site_occupancy
Li1 0.000 0.000 0.000 1
Li2 0.004 0.004 0.750 1
Li3 0.332 0.332 0.916 1
Li4 0.334 0.334 0.417 1
Li5 0.666 0.666 0.583 1
Li6 0.668 0.668 0.084 1
Li7 0.996 0.996 0.250 1
Co1 0.000 0.000 0.500 1
Co2 0.333 0.333 0.168 1
Co3 0.334 0.334 0.667 1
Co4 0.666 0.666 0.333 1
Co5 0.667 0.667 0.832 1
O1 0.007 0.007 0.372 1
O2 0.016 0.016 0.131 1
O3 0.320 0.320 0.538 1
O4 0.324 0.324 0.295 1
O5 0.333 0.333 0.044 1
O6 0.348 0.348 0.794 1
O7 0.652 0.652 0.206 1
O8 0.667 0.667 0.956 1
O9 0.676 0.676 0.705 1
O10 0.680 0.680 0.462 1
O11 0.984 0.984 0.869 1
O12 0.993 0.993 0.628 1
# - mass density (g cm⁻³) = 4.1
# - M_tot (μB per cell) = 17.3
# - space-group type = No. 12

=====

Relative to the most stable structure, the computed energies are one 0; two 192, all in meV per atom.

=====

## one
# LiCoPO4, relaxed, DFT GGA+U
data_LiCoPO4
_symmetry_space_group_name_H-M 'P 1'
_symmetry_Int_Tables_number 1
_cell_length_a 8.094
_cell_length_b 5.321
_cell_length_c 8.468
_cell_angle_alpha 90.00
_cell_angle_beta 104.73
_cell_angle_gamma 90.00
loop_
_symmetry_equiv_pos_as_xyz
'x,y,z'
loop_
_atom_site_label
_atom_site_fract_x
_atom_site_fract_y
_atom_site_fract_z
_atom_site_occupancy
Li1 0.000 0.151 0.000 1
Li2 0.000 0.849 0.500 1
Li3 0.469 0.333 0.293 1
Li4 0.469 0.667 0.793 1
Co1 0.101 0.336 0.367 1
Co2 0.101 0.664 0.867 1
Co3 0.603 0.175 0.688 1
Co4 0.603 0.825 0.188 1
P1 0.227 0.170 0.742 1
P2 0.227 0.830 0.242 1
P3 0.722 0.328 0.064 1
P4 0.722 0.672 0.564 1
O1 0.092 0.178 0.574 1
O2 0.092 0.822 0.074 1
O3 0.151 0.299 0.874 1
O4 0.151 0.701 0.374 1
O5 0.268 0.110 0.291 1
O6 0.268 0.890 0.791 1
O7 0.389 0.314 0.729 1
O8 0.389 0.686 0.229 1
O9 0.590 0.185 0.136 1
O10 0.590 0.815 0.636 1
O11 0.652 0.401 0.521 1
O12 0.652 0.599 0.021 1
O13 0.751 0.201 0.908 1
O14 0.751 0.799 0.408 1
O15 0.902 0.315 0.182 1
O16 0.902 0.685 0.682 1
# - mass density (g cm⁻³) = 3.0
# - M_tot (μB per cell) = 12.0
# - space-group type = No. 7

=====

## two
# LiCoPO4, relaxed, DFT GGA+U
data_LiCoPO4
_symmetry_space_group_name_H-M 'P 1'
_symmetry_Int_Tables_number 1
_cell_length_a 9.994
_cell_length_b 9.994
_cell_length_c 22.713
_cell_angle_alpha 90.00
_cell_angle_beta 90.00
_cell_angle_gamma 120.00
loop_
_symmetry_equiv_pos_as_xyz
'x,y,z'
loop_
_atom_site_label
_atom_site_fract_x
_atom_site_fract_y
_atom_site_fract_z
_atom_site_occupancy
Li1 0.008 0.948 0.000 1
Li2 0.024 0.481 0.168 1
Li3 0.052 0.060 0.667 1
Li4 0.060 0.008 0.833 1
Li5 0.061 0.515 0.838 1
Li6 0.062 0.562 0.498 1
Li7 0.438 0.500 0.165 1
Li8 0.454 0.939 0.171 1
Li9 0.456 0.976 0.502 1
Li10 0.481 0.456 0.335 1
Li11 0.485 0.546 0.504 1
Li12 0.500 0.062 0.332 1
Li13 0.500 0.938 0.832 1
Li14 0.515 0.454 0.004 1
Li15 0.519 0.544 0.835 1
Li16 0.544 0.024 0.002 1
Li17 0.546 0.061 0.671 1
Li18 0.562 0.500 0.665 1
Li19 0.938 0.438 0.998 1
Li20 0.939 0.485 0.338 1
Li21 0.940 0.992 0.333 1
Li22 0.948 0.940 0.167 1
Li23 0.976 0.519 0.668 1
Li24 0.992 0.052 0.500 1
Co1 0.115 0.304 0.259 1
Co2 0.147 0.834 0.261 1
Co3 0.166 0.313 0.927 1
Co4 0.177 0.789 0.957 1
Co5 0.189 0.885 0.592 1
Co6 0.211 0.387 0.624 1
Co7 0.304 0.189 0.425 1
Co8 0.313 0.147 0.094 1
Co9 0.327 0.656 0.068 1
Co10 0.330 0.673 0.401 1
Co11 0.344 0.670 0.735 1
Co12 0.387 0.177 0.791 1
Co13 0.613 0.823 0.291 1
Co14 0.656 0.330 0.235 1
Co15 0.670 0.327 0.901 1
Co16 0.673 0.344 0.568 1
Co17 0.687 0.853 0.594 1
Co18 0.696 0.811 0.925 1
Co19 0.789 0.613 0.124 1
Co20 0.811 0.115 0.092 1
Co21 0.823 0.211 0.457 1
Co22 0.834 0.687 0.427 1
Co23 0.853 0.166 0.761 1
Co24 0.885 0.696 0.759 1
P1 0.119 0.337 0.394 1
P2 0.132 0.779 0.090 1
P3 0.144 0.316 0.061 1
P4 0.172 0.856 0.394 1
P5 0.218 0.881 0.728 1
P6 0.221 0.353 0.757 1
P7 0.313 0.641 0.258 1
P8 0.316 0.172 0.228 1
P9 0.328 0.687 0.591 1
P10 0.337 0.218 0.561 1
P11 0.353 0.132 0.924 1
P12 0.359 0.672 0.924 1
P13 0.641 0.328 0.424 1
P14 0.647 0.868 0.424 1
P15 0.663 0.782 0.061 1
P16 0.672 0.313 0.091 1
P17 0.684 0.828 0.728 1
P18 0.687 0.359 0.758 1
P19 0.779 0.647 0.257 1
P20 0.782 0.119 0.228 1
P21 0.828 0.144 0.894 1
P22 0.856 0.684 0.561 1
P23 0.868 0.221 0.590 1
P24 0.881 0.663 0.894 1
O1 0.010 0.190 0.431 1
O2 0.012 0.679 0.138 1
O3 0.016 0.707 0.380 1
O4 0.026 0.160 0.091 1
O5 0.039 0.332 0.335 1
O6 0.066 0.199 0.746 1
O7 0.066 0.728 0.713 1
O8 0.077 0.337 0.002 1
O9 0.084 0.680 0.033 1
O10 0.133 0.934 0.080 1
O11 0.134 0.974 0.424 1
O12 0.147 0.482 0.430 1
O13 0.157 0.640 0.256 1
O14 0.160 0.134 0.257 1
O15 0.176 0.453 0.102 1
O16 0.181 0.990 0.764 1
O17 0.187 0.482 0.776 1
O18 0.190 0.181 0.598 1
O19 0.199 0.133 0.913 1
O20 0.206 0.710 0.557 1
O21 0.209 0.657 0.898 1
O22 0.261 0.923 0.335 1
O23 0.262 0.631 0.654 1
O24 0.272 0.338 0.380 1
O25 0.277 0.824 0.435 1
O26 0.290 0.496 0.224 1
O27 0.293 0.308 0.046 1
O28 0.294 0.961 0.668 1
O29 0.295 0.813 0.110 1
O30 0.308 0.016 0.213 1
O31 0.320 0.404 0.700 1
O32 0.321 0.334 0.805 1
O33 0.332 0.294 0.502 1
O34 0.334 0.012 0.972 1
O35 0.335 0.853 0.763 1
O36 0.337 0.261 0.169 1
O37 0.338 0.066 0.547 1
O38 0.343 0.552 0.565 1
O39 0.360 0.517 0.922 1
O40 0.369 0.631 0.321 1
O41 0.369 0.738 0.987 1
O42 0.404 0.084 0.866 1
O43 0.448 0.791 0.231 1
O44 0.453 0.277 0.269 1
O45 0.482 0.295 0.943 1
O46 0.482 0.335 0.596 1
O47 0.483 0.843 0.589 1
O48 0.496 0.206 0.390 1
O49 0.503 0.794 0.890 1
O50 0.517 0.157 0.089 1
O51 0.518 0.665 0.096 1
O52 0.518 0.705 0.443 1
O53 0.547 0.723 0.769 1
O54 0.552 0.209 0.731 1
O55 0.596 0.916 0.366 1
O56 0.631 0.262 0.487 1
O57 0.631 0.369 0.821 1
O58 0.640 0.483 0.422 1
O59 0.657 0.448 0.065 1
O60 0.662 0.934 0.047 1
O61 0.663 0.739 0.669 1
O62 0.665 0.147 0.263 1
O63 0.666 0.988 0.472 1
O64 0.668 0.706 0.002 1
O65 0.679 0.666 0.305 1
O66 0.680 0.596 0.200 1
O67 0.692 0.984 0.713 1
O68 0.705 0.187 0.610 1
O69 0.706 0.039 0.168 1
O70 0.707 0.692 0.546 1
O71 0.710 0.503 0.724 1
O72 0.723 0.176 0.935 1
O73 0.728 0.662 0.880 1
O74 0.738 0.369 0.154 1
O75 0.739 0.077 0.835 1
O76 0.791 0.343 0.398 1
O77 0.794 0.290 0.057 1
O78 0.801 0.867 0.413 1
O79 0.810 0.819 0.098 1
O80 0.813 0.518 0.276 1
O81 0.819 0.010 0.264 1
O82 0.824 0.547 0.602 1
O83 0.840 0.866 0.757 1
O84 0.843 0.360 0.756 1
O85 0.853 0.518 0.930 1
O86 0.866 0.026 0.924 1
O87 0.867 0.066 0.580 1
O88 0.916 0.320 0.533 1
O89 0.923 0.663 0.502 1
O90 0.934 0.272 0.213 1
O91 0.934 0.801 0.246 1
O92 0.961 0.668 0.835 1
O93 0.974 0.840 0.591 1
O94 0.984 0.293 0.880 1
O95 0.988 0.321 0.638 1
O96 0.990 0.810 0.931 1
# - mass density (g cm⁻³) = 3.3
# - M_tot (μB per cell) = 72.1
# - space-group type = No. 170

=====

## three
# LiCoPO4, relaxed, DFT GGA+U
data_LiCoPO4
_symmetry_space_group_name_H-M 'P 1'
_symmetry_Int_Tables_number 1
_cell_length_a 8.478
_cell_length_b 8.478
_cell_length_c 7.487
_cell_angle_alpha 90.00
_cell_angle_beta 90.00
_cell_angle_gamma 120.00
loop_
_symmetry_equiv_pos_as_xyz
'x,y,z'
loop_
_atom_site_label
_atom_site_fract_x
_atom_site_fract_y
_atom_site_fract_z
_atom_site_occupancy
Li1 0.013 0.682 0.000 1
Li2 0.318 0.331 0.000 1
Li3 0.331 0.013 0.500 1
Li4 0.669 0.987 0.000 1
Li5 0.682 0.669 0.500 1
Li6 0.987 0.318 0.500 1
Co1 0.000 0.000 0.232 1
Co2 0.000 0.000 0.732 1
Co3 0.333 0.667 0.292 1
Co4 0.333 0.667 0.890 1
Co5 0.667 0.333 0.390 1
Co6 0.667 0.333 0.792 1
P1 0.037 0.676 0.598 1
P2 0.324 0.361 0.598 1
P3 0.361 0.037 0.098 1
P4 0.639 0.963 0.598 1
P5 0.676 0.639 0.098 1
P6 0.963 0.324 0.098 1
O1 0.070 0.216 0.096 1
O2 0.106 0.528 0.089 1
O3 0.144 0.722 0.775 1
O4 0.146 0.930 0.096 1
O5 0.173 0.743 0.441 1
O6 0.216 0.146 0.596 1
O7 0.257 0.430 0.441 1
O8 0.278 0.422 0.775 1
O9 0.422 0.144 0.275 1
O10 0.422 0.894 0.089 1
O11 0.430 0.173 0.941 1
O12 0.472 0.578 0.089 1
O13 0.528 0.422 0.589 1
O14 0.570 0.827 0.441 1
O15 0.578 0.106 0.589 1
O16 0.578 0.856 0.775 1
O17 0.722 0.578 0.275 1
O18 0.743 0.570 0.941 1
O19 0.784 0.854 0.096 1
O20 0.827 0.257 0.941 1
O21 0.854 0.070 0.596 1
O22 0.856 0.278 0.275 1
O23 0.894 0.472 0.589 1
O24 0.930 0.784 0.596 1
# - mass density (g cm⁻³) = 3.4
# - M_tot (μB per cell) = 18.0
# - space-group type = No. 173

=====

Relative to the most stable structure, the computed energies are one 0; two 92; three 45, all in meV per atom.